1.
Entry from Materials Project: an optimized crystal structure of Dy3CrS6 (r2SCAN).

Calculated values
Spin magnetization: 3.0 μB/f.u.

Unit cell a=13.291 b=15.932 c=3.763 alpha=90.00 beta=90.00 gamma=90.00
Space group Pnnm (No. 58)
One atom of each set of equivalent atoms:
Dy: 0.049 0.221 0.000 [4 per cell]
Dy: 0.182 0.647 0.000 [4 per cell]
Dy: 0.243 0.901 0.500 [4 per cell]
Cr: 0.000 0.000 0.500 [2 per cell]
Cr: 0.000 0.500 0.500 [2 per cell]
S: 0.021 0.402 0.000 [4 per cell]
S: 0.083 0.925 0.000 [4 per cell]
S: 0.104 0.753 0.500 [4 per cell]
S: 0.120 0.109 0.500 [4 per cell]
S: 0.180 0.520 0.500 [4 per cell]
S: 0.188 0.290 0.500 [4 per cell]

---

2.
Entry from Materials Project: an optimized crystal structure of ErCrO3 (r2SCAN).

Calculated values
Spin magnetization: 3.0 μB/f.u.

Unit cell a=5.521 b=7.503 c=5.188 alpha=90.00 beta=90.00 gamma=90.00
Space group Pnma (No. 62)
One atom of each set of equivalent atoms:
Er: 0.071 0.250 0.021 [4 per cell]
Cr: 0.000 0.000 0.500 [4 per cell]
O: 0.041 0.750 0.385 [4 per cell]
O: 0.196 0.559 0.810 [8 per cell]

---

The evaluated formation energy from the elements for the records listed, in turn: -20.48, -16.26 eV per formula unit.